The following is a GGA-PBE calculation of a relaxed ZnFeSb crystal, from the Materials Project database.

Output
Magnetization ... 2.69 μB per formula unit
E ... -4.172 eV per atom
ΔE_f ... 0.384 eV/atom

Cell: 4.3983 4.3983 4.3983 Å, 60.00 60.00 60.00°
Sites, in units of the cell vectors:
1 Sb 0.0000 0.0000 0.0000
2 Fe 0.2500 0.2500 0.2500
3 Zn 0.7500 0.7500 0.7500